# PBE with a Hubbard U Li3Mn2FeB3O9, optimized geometry
# * magnetic moment: 28.0 Bohr magnetons per cell
# * electronic total energy: -7.189 eV/atom
# * formation energy: -2.450 eV per atom
data_Li3Mn2FeB3O9
_chemical_formula_sum 'Li6 Mn4 Fe2 B6 O18'
_cell_length_a 8.262
_cell_length_b 3.174
_cell_length_c 14.291
_cell_angle_alpha 90.00
_cell_angle_beta 90.04
_cell_angle_gamma 90.00
_space_group_name_H-M_alt 'P 1 m 1'
_space_group_IT_number 6
loop_
_space_group_symop_operation_xyz
'x,y,z'
'x,-y,z'
loop_
_atom_site_label
_atom_site_type_symbol
_atom_site_fract_x
_atom_site_fract_y
_atom_site_fract_z
_atom_site_occupancy
Li1 Li 0.000 0.000 0.000 1
Li2 Li 0.026 0.000 0.292 1
Li3 Li 0.073 0.000 0.658 1
Li4 Li 0.499 0.000 0.499 1
Li5 Li 0.525 0.000 0.792 1
Li6 Li 0.573 0.000 0.160 1
Mn1 Mn 0.174 0.500 0.470 1
Mn2 Mn 0.192 0.500 0.836 1
Mn3 Mn 0.673 0.500 0.970 1
Mn4 Mn 0.731 0.500 0.644 1
Fe1 Fe 0.229 0.500 0.146 1
Fe2 Fe 0.690 0.500 0.333 1
B1 B 0.365 0.000 0.985 1
B2 B 0.366 0.500 0.650 1
B3 B 0.367 0.000 0.316 1
B4 B 0.864 0.000 0.482 1
B5 B 0.866 0.000 0.817 1
B6 B 0.867 0.500 0.150 1
O1 O 0.006 0.500 0.206 1
O2 O 0.016 0.000 0.860 1
O3 O 0.017 0.000 0.524 1
O4 O 0.211 0.500 0.689 1
O5 O 0.228 0.000 0.041 1
O6 O 0.228 0.000 0.370 1
O7 O 0.351 0.000 0.888 1
O8 O 0.354 0.000 0.219 1
O9 O 0.385 0.500 0.553 1
O10 O 0.501 0.500 0.708 1
O11 O 0.518 0.000 0.358 1
O12 O 0.519 0.000 0.026 1
O13 O 0.715 0.500 0.192 1
O14 O 0.725 0.000 0.870 1
O15 O 0.727 0.000 0.538 1
O16 O 0.848 0.000 0.385 1
O17 O 0.856 0.000 0.720 1
O18 O 0.882 0.500 0.053 1